Model w:
DFT (PBE) results for Li3ZnPCO7 after structural relaxation.

The structure in POSCAR format:
```
Li3ZnPCO7
1.0
-3.265 4.735 2.924
-3.022 0.315 -3.884
-5.352 -5.704 3.260
O Li Zn P C
14 6 2 2 2
Cartesian
-5.251 1.223 2.833
-6.773 -3.515 1.689
-4.332 -1.220 -1.976
-4.271 -1.103 0.577
-6.387 -1.878 -0.533
-6.081 -1.213 3.178
-4.866 2.861 0.611
-9.248 -1.340 2.521
-7.307 0.565 4.276
-2.390 0.686 -0.221
-5.848 3.389 -1.341
-5.558 0.558 -0.878
-5.791 -4.044 3.641
-7.368 0.449 1.723
-9.472 0.694 2.288
-7.953 -1.509 0.928
-3.686 0.854 1.372
-3.529 0.924 -1.877
-8.110 -1.578 4.177
-2.166 -1.349 0.012
-6.682 1.778 0.336
-4.957 -2.433 1.964
-5.166 -0.932 -0.699
-6.473 0.278 2.999
-6.761 -4.194 2.801
-4.878 3.539 -0.501
```

## Properties
density	3.0	g/cm³
magnetic moment	0.000	μB/f.u.



Model x:
DFT (PBE) results for Li3ZnPCO7 after structural relaxation.

The structure in POSCAR format:
```
Li3ZnPCO7
1.0
-3.245 4.309 3.626
-1.923 -3.817 2.815
6.445 0.352 5.349
P O Li Zn C
2 14 6 2 2
Cartesian
1.808 3.315 6.404
-0.524 -2.481 5.378
2.065 0.967 3.928
-2.853 1.716 3.718
1.138 0.033 1.738
-3.312 0.383 5.464
0.374 -1.487 4.596
1.339 -0.783 8.712
2.746 -0.834 6.268
4.508 0.568 6.416
1.136 2.021 6.934
0.058 0.593 10.297
4.368 -1.189 7.806
-1.418 1.609 5.465
-0.013 1.887 2.870
-0.965 0.111 8.059
4.675 2.409 7.301
-0.927 2.024 7.518
-1.862 -3.605 2.773
1.965 1.125 8.476
-0.308 -0.786 2.889
1.081 0.311 5.526
1.936 -2.373 7.414
-0.631 3.178 4.345
3.873 -0.498 6.829
-2.518 1.237 4.873
```

## Properties
maximum piezoelectric response	1.3	C/m2
density	2.9	g/cm³
magnetic moment	0.000	μB/f.u.



Relative energies, unit meV per atom: model w 11; model x 0



Model w:
DFT (PBE) results for Lu2C3N6 after structural relaxation.

The structure in POSCAR format:
```
Lu2C3N6
1.0
10.029 -3.142 0.000
10.029 3.142 0.000
9.044 0.000 5.353
C N Lu
6 12 4
Cartesian
17.013 2.213 2.921
16.611 -0.929 5.109
12.089 -2.213 2.432
12.491 0.929 0.244
11.798 1.284 4.015
17.304 -1.284 1.338
18.385 -1.296 1.931
11.307 0.587 0.213
10.717 1.296 3.422
15.423 -1.259 5.098
13.273 -2.555 2.463
17.795 -0.587 5.139
18.201 1.883 2.932
16.224 -1.296 0.745
15.830 2.555 2.890
13.679 1.259 0.255
10.901 -1.883 2.421
12.878 1.296 4.608
4.778 0.000 0.879
9.773 0.000 1.798
19.329 0.000 3.555
24.324 0.000 4.474
```

## Properties
density	4.6	g/cm³



Model x:
DFT (PBE) results for Lu2C3N6 after structural relaxation.

The structure in POSCAR format:
```
Lu2C3N6
1.0
5.316 -3.117 0.000
5.316 3.117 0.000
3.489 0.000 5.081
Lu N C
2 6 3
Cartesian
2.432 0.000 0.875
11.689 0.000 4.205
4.087 1.335 0.050
10.034 1.335 5.031
10.322 -1.825 4.232
3.017 0.490 3.025
11.105 0.490 2.056
3.800 -1.825 0.849
4.018 0.902 3.610
4.787 -2.215 1.471
5.316 1.313 0.000
```

## Properties
maximum piezoelectric response	0.1	C/m2
density	4.6	g/cm³
magnetic moment	0.000	μB/f.u.



Relative energies, unit meV per atom: model w 0; model x 45



Model w:
DFT (PBE) results for Mg6MnC after structural relaxation.

The structure in POSCAR format:
```
Mg6MnC
1.0
-0.386 2.536 1.653
-0.625 -5.315 8.008
10.307 0.729 1.288
Mn Mg C
2 12 2
Cartesian
8.617 0.609 1.077
3.151 -2.413 4.437
5.472 -0.967 5.578
8.740 0.690 3.798
0.852 -3.426 5.455
8.381 -2.043 5.090
8.402 -2.186 8.132
3.274 -2.331 7.158
5.895 -4.003 7.517
0.631 1.326 0.930
6.318 -0.405 2.095
3.561 0.107 3.484
1.054 -1.710 2.869
3.539 0.250 0.442
7.372 1.803 1.772
1.906 -1.219 5.132
```

## Properties
density	2.3	g/cm³
magnetic moment	1.421	μB/f.u.



Model x:
DFT (PBE) results for Mg6MnC after structural relaxation.

The structure in POSCAR format:
```
Mg6MnC
1.0
2.960 3.012 -4.268
-5.954 0.682 0.374
0.593 3.572 2.932
Mg C Mn
6 1 1
Cartesian
-3.014 2.569 -2.520
-1.170 4.793 -1.899
1.728 4.398 -2.005
-2.771 3.222 0.337
0.370 2.892 0.105
-1.518 0.723 -0.573
-4.402 1.087 -0.434
-0.010 2.235 -2.721
```

## Properties
density	2.4	g/cm³
magnetic moment	3.654	μB/f.u.



Relative energies, unit meV per atom: model w 0; model x 433



Model w:
DFT (PBE) results for Mg6MoC after structural relaxation.

The structure in POSCAR format:
```
Mg6MoC
1.0
4.802 0.000 0.000
0.000 5.525 0.000
0.000 0.000 10.734
Mg C Mo
12 2 2
Cartesian
0.000 1.352 0.865
2.401 1.378 4.579
2.401 4.141 9.946
2.401 1.385 9.946
0.000 0.000 3.483
0.000 1.411 6.232
0.000 0.000 8.682
0.000 2.763 8.850
0.000 2.763 3.315
0.000 4.173 0.865
0.000 4.115 6.232
2.401 4.147 4.579
2.401 2.763 1.852
2.401 0.000 7.219
2.401 2.763 7.295
2.401 0.000 1.928
```

## Properties
density	3.0	g/cm³
magnetic moment	0.002	μB/f.u.



Model x:
DFT (PBE) results for Mg6MoC after structural relaxation.

The structure in POSCAR format:
```
Mg6MoC
1.0
3.160 0.000 0.000
0.000 9.932 0.000
0.000 0.000 10.787
Mo Mg C
2 12 2
Cartesian
0.000 0.000 8.457
0.000 4.966 3.063
1.580 2.635 3.714
0.000 8.030 6.379
1.580 2.331 9.107
1.580 7.297 3.714
0.000 0.000 3.876
1.580 0.000 1.011
0.000 1.902 6.379
1.580 7.601 9.107
1.580 4.966 6.404
0.000 3.064 0.985
0.000 6.868 0.985
0.000 4.966 9.270
1.580 4.966 4.224
1.580 0.000 9.618
```

## Properties
density	2.5	g/cm³
magnetic moment	0.000	μB/f.u.



Relative energies, unit meV per atom: model w 444; model x 0



Model w:
DFT (PBE) results for Na6Mg2C4SO16 after structural relaxation.

The structure in POSCAR format:
```
Na6Mg2C4SO16
1.0
0.000 7.113 7.113
7.113 0.000 7.113
7.113 7.113 0.000
Mg O C S Na
4 32 8 2 12
Cartesian
1.778 1.778 1.778
5.335 1.778 5.335
1.778 5.335 5.335
5.335 5.335 1.778
12.354 8.986 7.401
8.986 7.401 12.354
9.803 11.537 11.537
8.986 13.939 8.986
11.537 9.803 11.537
5.430 8.797 10.382
12.354 13.939 12.354
5.430 3.844 5.430
7.401 12.354 8.986
8.797 10.382 5.430
3.844 5.430 5.430
10.382 8.797 5.430
5.430 5.430 3.844
5.430 10.382 8.797
7.980 7.980 7.980
9.803 9.803 9.803
8.986 8.986 13.939
8.797 5.430 10.382
6.247 7.980 6.247
13.939 8.986 8.986
13.939 12.354 12.354
8.797 8.797 3.844
8.797 3.844 8.797
11.537 11.537 9.803
6.247 6.247 7.980
12.354 12.354 13.939
3.844 8.797 8.797
7.980 6.247 6.247
7.401 8.986 12.354
10.382 5.430 8.797
12.354 7.401 8.986
8.986 12.354 7.401
9.336 4.891 9.336
8.447 8.447 12.893
4.891 4.891 4.891
9.336 9.336 4.891
4.891 9.336 9.336
12.893 12.893 12.893
8.447 12.893 8.447
12.893 8.447 8.447
10.670 10.670 10.670
7.113 7.113 7.113
10.670 7.500 10.670
3.943 7.113 7.113
7.113 7.113 10.284
10.284 7.113 7.113
7.113 3.943 7.113
10.670 10.670 13.840
10.670 13.840 10.670
13.840 10.670 10.670
7.500 10.670 10.670
7.113 7.113 3.943
7.113 10.284 7.113
10.670 10.670 7.500
```

## Properties
density	2.4	g/cm³



Model x:
DFT (PBE) results for Na6Mg2C4SO16 after structural relaxation.

The structure in POSCAR format:
```
Na6Mg2C4SO16
1.0
-3.327 -7.950 4.953
-8.677 0.426 4.829
-7.843 -5.060 -3.417
Na C O S Mg
12 8 32 2 4
Cartesian
-9.016 -5.755 0.305
-14.342 -6.508 5.492
-12.008 -10.161 5.546
-15.792 -9.975 7.652
-7.047 -7.015 3.955
-13.978 -8.901 1.896
-17.762 -8.715 4.002
-10.467 -9.222 2.464
-10.831 -6.829 6.061
-15.429 -12.368 4.056
-12.800 -5.569 2.411
-9.380 -3.362 3.901
-13.073 -8.234 7.924
-6.802 -4.313 2.182
-12.548 -11.685 2.737
-15.914 -6.416 2.659
-8.895 -9.314 5.297
-12.261 -4.045 5.220
-11.736 -7.496 0.032
-18.007 -11.417 5.775
-7.718 -2.002 5.006
-6.143 -4.894 3.139
-9.764 -10.039 4.660
-6.851 -4.858 1.003
-9.248 -8.668 6.368
-7.445 -3.208 2.413
-11.220 -8.676 0.202
-14.037 -4.572 0.591
-15.800 -8.559 5.571
-8.487 -3.907 -1.158
-12.311 -10.690 1.936
-4.912 -7.480 2.925
-15.595 -9.909 3.541
-12.872 -7.198 0.588
-12.498 -5.040 6.020
-11.145 -7.067 3.574
-10.326 -5.109 2.355
-11.264 -3.245 5.455
-15.044 -5.691 3.297
-7.683 -9.203 4.842
-8.448 -6.953 -1.715
-5.701 -7.425 5.918
-13.664 -8.664 4.382
-9.009 -7.171 2.385
-10.822 -5.776 8.235
-10.384 -1.178 3.665
-9.281 -11.298 2.124
-11.097 -6.602 -0.661
-12.995 -3.873 4.162
-9.214 -5.821 4.416
-11.937 -8.532 7.369
-14.483 -10.621 5.601
-9.923 -6.292 3.183
-14.885 -9.438 4.774
-4.144 -5.548 3.272
-6.819 -1.360 3.210
-6.402 -4.103 -0.913
-2.481 -1.573 0.796
```

## Properties
density	2.5	g/cm³



Relative energies, unit meV per atom: model w 24; model x 0



Model w:
DFT (PBE) results for Mg6NbCO8 after structural relaxation.

The structure in POSCAR format:
```
Mg6NbCO8
1.0
9.316 0.000 0.000
0.000 4.224 0.000
0.000 0.000 4.224
O Mg C Nb
8 6 1 1
Cartesian
0.000 2.112 0.000
2.392 2.112 2.112
0.000 0.000 2.112
7.215 0.000 0.000
6.924 2.112 2.112
2.101 0.000 0.000
4.658 2.112 0.000
4.658 0.000 2.112
4.658 2.112 2.112
6.751 0.000 2.112
0.000 2.112 2.112
2.565 0.000 2.112
6.751 2.112 0.000
2.565 2.112 0.000
4.658 0.000 0.000
0.000 0.000 0.000
```

## Properties
density	3.8	g/cm³
magnetic moment	2.333	μB/f.u.



Model x:
DFT (PBE) results for Mg6NbCO8 after structural relaxation.

The structure in POSCAR format:
```
Mg6NbCO8
1.0
9.317 0.000 0.000
0.000 4.190 0.000
0.000 0.000 4.190
O Mg Nb C
8 6 1 1
Cartesian
4.659 2.095 0.000
2.632 2.095 2.095
7.039 0.000 0.000
6.686 2.095 2.095
0.000 0.000 2.095
0.000 2.095 0.000
2.278 0.000 0.000
4.659 0.000 2.095
6.880 0.000 2.095
4.659 2.095 2.095
2.437 0.000 2.095
4.659 0.000 0.000
2.437 2.095 0.000
6.880 2.095 0.000
0.000 0.000 0.000
0.000 2.095 2.095
```

## Properties
density	3.8	g/cm³
magnetic moment	1.444	μB/f.u.



Relative energies, unit meV per atom: model w 6; model x 0